Entry from the Materials Project: a relaxed BiTe crystal (PBE).

Its final energy is -44.57 eV/cell. The value obtained for the energy above the most stable polymorph in this dataset is 0.000 eV/atom. As for the calculated formation energy: -9.41 kcal/mol of atoms.

Lattice parameters (Å, degrees): 4.4809 4.4809 24.9575 90.00 90.00 120.00
Positions (direct):
1 Bi 0.0000 0.0000 0.1287
2 Bi 0.0000 0.0000 0.8713
3 Bi 0.3333 0.6667 0.2910
4 Bi 0.3333 0.6667 0.5336
5 Bi 0.6667 0.3333 0.4664
6 Bi 0.6667 0.3333 0.7090
7 Te 0.0000 0.0000 0.3601
8 Te 0.0000 0.0000 0.6399
9 Te 0.3333 0.6667 0.0607
10 Te 0.3333 0.6667 0.7897
11 Te 0.6667 0.3333 0.2103
12 Te 0.6667 0.3333 0.9393

---

Entry from the Materials Project: a relaxed NbP2Se2Cl5 crystal (PBE).

Its final energy is -359.58 eV/cell. Its total magnetic moment is 0.003 μB/f.u. As for the calculated formation energy: -25.03 kcal/mol of atoms.

Lattice parameters (Å, degrees): 6.8777 14.0093 27.9510 90.00 100.28 90.00
Positions (direct):
1 Nb 0.0290 0.1096 0.2001
2 Nb 0.0290 0.3904 0.7001
3 Nb 0.2550 0.2088 0.9722
4 Nb 0.2550 0.2912 0.4722
5 Nb 0.7450 0.7088 0.5278
6 Nb 0.7450 0.7912 0.0278
7 Nb 0.9710 0.6096 0.2999
8 Nb 0.9710 0.8904 0.7999
9 P 0.0806 0.0778 0.3571
10 P 0.0806 0.4222 0.8571
11 P 0.2471 0.0899 0.2946
12 P 0.2471 0.4101 0.7946
13 P 0.3330 0.1611 0.4006
14 P 0.3330 0.3389 0.9006
15 P 0.4708 0.5774 0.8821
16 P 0.4708 0.9226 0.3821
17 P 0.5292 0.0774 0.6179
18 P 0.5292 0.4226 0.1179
19 P 0.6670 0.6611 0.0994
20 P 0.6670 0.8389 0.5994
21 P 0.7529 0.5899 0.2054
22 P 0.7529 0.9101 0.7054
23 P 0.9194 0.5778 0.1429
24 P 0.9194 0.9222 0.6429
25 Se 0.1359 0.5716 0.8829
26 Se 0.1359 0.9284 0.3829
27 Se 0.3866 0.2278 0.3292
28 Se 0.3866 0.2722 0.8292
29 Se 0.4294 0.5525 0.0702
30 Se 0.4294 0.9475 0.5702
31 Se 0.4678 0.5320 0.8032
32 Se 0.4678 0.9680 0.3032
33 Se 0.5322 0.0320 0.6968
34 Se 0.5322 0.4680 0.1968
35 Se 0.5706 0.0525 0.4298
36 Se 0.5706 0.4475 0.9298
37 Se 0.6134 0.7278 0.1708
38 Se 0.6134 0.7722 0.6708
39 Se 0.8641 0.0716 0.6171
40 Se 0.8641 0.4284 0.1171
41 Cl 0.0357 0.6903 0.5853
42 Cl 0.0357 0.8097 0.0853
43 Cl 0.1082 0.0302 0.7739
44 Cl 0.1082 0.4698 0.2739
45 Cl 0.1237 0.1472 0.4973
46 Cl 0.1237 0.3528 0.9973
47 Cl 0.1626 0.7002 0.2547
48 Cl 0.1626 0.7998 0.7547
49 Cl 0.1662 0.6315 0.3747
50 Cl 0.1662 0.8685 0.8747
51 Cl 0.1845 0.1070 0.0308
52 Cl 0.1845 0.3930 0.5308
53 Cl 0.2427 0.2424 0.2019
54 Cl 0.2427 0.2576 0.7019
55 Cl 0.2813 0.0160 0.1777
56 Cl 0.2813 0.4840 0.6777
57 Cl 0.4149 0.1045 0.9262
58 Cl 0.4149 0.3955 0.4262
59 Cl 0.4305 0.7397 0.9881
60 Cl 0.4305 0.7603 0.4881
61 Cl 0.5695 0.2397 0.5119
62 Cl 0.5695 0.2603 0.0119
63 Cl 0.5851 0.6045 0.5738
64 Cl 0.5851 0.8955 0.0738
65 Cl 0.7187 0.5160 0.3223
66 Cl 0.7187 0.9840 0.8223
67 Cl 0.7573 0.7424 0.2981
68 Cl 0.7573 0.7576 0.7981
69 Cl 0.8155 0.6070 0.4692
70 Cl 0.8155 0.8930 0.9692
71 Cl 0.8338 0.1315 0.1253
72 Cl 0.8338 0.3685 0.6253
73 Cl 0.8374 0.2002 0.2453
74 Cl 0.8374 0.2998 0.7453
75 Cl 0.8763 0.6472 0.0027
76 Cl 0.8763 0.8528 0.5027
77 Cl 0.8918 0.5302 0.7261
78 Cl 0.8918 0.9698 0.2261
79 Cl 0.9643 0.1903 0.9147
80 Cl 0.9643 0.3097 0.4147

---

Entry from the Materials Project: a relaxed Na2DyPCO7 crystal (PBE).

Its final energy is -169.83 eV/cell. Its total magnetic moment is 0.003 μB/f.u. As for the calculated formation energy: -63.79 kcal/mol of atoms.

Lattice parameters (Å, degrees): 5.2286 7.0105 9.2760 90.00 90.87 90.00
Positions (direct):
1 Na 0.2320 0.0015 0.2098
2 Na 0.2320 0.4985 0.2098
3 Na 0.7680 0.5015 0.7902
4 Na 0.7680 0.9985 0.7902
5 Dy 0.2238 0.2500 0.6305
6 Dy 0.7762 0.7500 0.3695
7 P 0.2943 0.7500 0.5825
8 P 0.7057 0.2500 0.4175
9 C 0.2684 0.2500 0.9279
10 C 0.7316 0.7500 0.0721
11 O 0.0418 0.2500 0.8637
12 O 0.1848 0.5686 0.6534
13 O 0.1848 0.9314 0.6534
14 O 0.2196 0.7500 0.4168
15 O 0.3001 0.2500 0.0624
16 O 0.4071 0.2500 0.4083
17 O 0.4636 0.2500 0.8373
18 O 0.5364 0.7500 0.1627
19 O 0.5929 0.7500 0.5917
20 O 0.6999 0.7500 0.9376
21 O 0.7804 0.2500 0.5832
22 O 0.8152 0.0686 0.3466
23 O 0.8152 0.4314 0.3466
24 O 0.9582 0.7500 0.1363

---

Entry from the Materials Project: a relaxed UTlO3 crystal (PBE).

Its final energy is -41.14 eV/cell. As for the calculated formation energy: -67.81 kcal/mol of atoms.

Lattice parameters (Å, degrees): 4.3577 4.3577 4.3577 90.00 90.00 90.00
Positions (direct):
1 U 0.0000 0.0000 0.0000
2 Tl 0.5000 0.5000 0.5000
3 O 0.0000 0.0000 0.5000
4 O 0.0000 0.5000 0.0000
5 O 0.5000 0.0000 0.0000

---

Entry from the Materials Project: a relaxed ZnFePb crystal (PBE).

Its final energy is -11.10 eV/cell. Its total magnetic moment is 2.791 μB/f.u. As for the calculated formation energy: 18.03 kcal/mol of atoms.

Lattice parameters (Å, degrees): 4.3952 4.3952 4.3952 60.00 60.00 60.00
Positions (direct):
1 Zn 0.0000 0.0000 0.0000
2 Fe 0.5000 0.5000 0.5000
3 Pb 0.2500 0.2500 0.2500

---

Entry from the Materials Project: a relaxed Ba6Ge2N7 crystal (PBE).

Its final energy is -84.99 eV/cell. Its total magnetic moment is 1.000 μB/f.u. As for the calculated formation energy: -12.92 kcal/mol of atoms.

Lattice parameters (Å, degrees): 7.5408 7.5408 7.5408 64.53 64.53 64.53
Positions (direct):
1 Ba 0.1699 0.3526 0.7331
2 Ba 0.2669 0.8301 0.6474
3 Ba 0.3526 0.7331 0.1699
4 Ba 0.6474 0.2669 0.8301
5 Ba 0.7331 0.1699 0.3526
6 Ba 0.8301 0.6474 0.2669
7 Ge 0.2515 0.2515 0.2515
8 Ge 0.7485 0.7485 0.7485
9 N 0.0280 0.2456 0.4844
10 N 0.2456 0.4844 0.0280
11 N 0.4844 0.0280 0.2456
12 N 0.5000 0.5000 0.5000
13 N 0.5156 0.9720 0.7544
14 N 0.7544 0.5156 0.9720
15 N 0.9720 0.7544 0.5156

---

Entry from the Materials Project: a relaxed Na2AsPH8O10 crystal (PBE).

Its final energy is -240.92 eV/cell. Its total magnetic moment is 0.001 μB/f.u. As for the calculated formation energy: -39.82 kcal/mol of atoms.

Lattice parameters (Å, degrees): 5.2676 10.2863 8.4039 90.00 90.46 90.00
Positions (direct):
1 Na 0.1634 0.0000 0.0853
2 Na 0.3259 0.3028 0.5881
3 Na 0.6741 0.8028 0.4119
4 Na 0.8366 0.5000 0.9147
5 As 0.3311 0.7427 0.8082
6 As 0.6689 0.2427 0.1918
7 P 0.1628 0.5590 0.3069
8 P 0.8372 0.0590 0.6931
9 H 0.0652 0.3012 0.2580
10 H 0.0945 0.2551 0.8749
11 H 0.1996 0.9488 0.4445
12 H 0.2067 0.6896 0.5097
13 H 0.2995 0.3524 0.9422
14 H 0.2996 0.6031 0.0195
15 H 0.4058 0.0438 0.3777
16 H 0.4592 0.0042 0.7602
17 H 0.5408 0.5042 0.2398
18 H 0.5942 0.5438 0.6223
19 H 0.7004 0.1031 0.9805
20 H 0.7005 0.8524 0.0578
21 H 0.7933 0.1896 0.4903
22 H 0.8004 0.4488 0.5555
23 H 0.9055 0.7551 0.1251
24 H 0.9348 0.8012 0.7420
25 O 0.0034 0.2255 0.1892
26 O 0.0666 0.5873 0.1381
27 O 0.0734 0.6740 0.4200
28 O 0.0835 0.4274 0.3755
29 O 0.1685 0.3423 0.8582
30 O 0.3281 0.9569 0.3607
31 O 0.4263 0.8858 0.8875
32 O 0.4313 0.6148 0.9318
33 O 0.4341 0.7052 0.6231
34 O 0.4660 0.5742 0.3116
35 O 0.5340 0.0742 0.6884
36 O 0.5659 0.2052 0.3769
37 O 0.5687 0.1148 0.0682
38 O 0.5737 0.3858 0.1125
39 O 0.6719 0.4569 0.6393
40 O 0.8315 0.8423 0.1418
41 O 0.9165 0.9274 0.6245
42 O 0.9266 0.1740 0.5800
43 O 0.9334 0.0873 0.8619
44 O 0.9966 0.7255 0.8108

---

Entry from the Materials Project: a relaxed U2PS crystal (PBE).

Its final energy is -36.89 eV/cell. As for the calculated formation energy: -30.33 kcal/mol of atoms.

Lattice parameters (Å, degrees): 3.8978 3.8978 5.5061 90.00 90.00 90.00
Positions (direct):
1 U 0.0000 0.0000 0.0000
2 U 0.5000 0.5000 0.5000
3 P 0.0000 0.0000 0.5000
4 S 0.5000 0.5000 0.0000

---

Entry from the Materials Project: a relaxed ZnNi4S8 crystal (PBE).

Its final energy is -60.88 eV/cell. Its total magnetic moment is 0.001 μB/f.u. The value obtained for the energy above the most stable polymorph in this dataset is 0.000 eV/atom. As for the calculated formation energy: -13.18 kcal/mol of atoms.

Lattice parameters (Å, degrees): 6.9704 6.9704 6.9704 57.66 57.66 57.66
Positions (direct):
1 Zn 0.0000 0.0000 0.0000
2 Ni 0.0000 0.0000 0.5000
3 Ni 0.0000 0.5000 0.0000
4 Ni 0.5000 0.0000 0.0000
5 Ni 0.5000 0.5000 0.5000
6 S 0.2279 0.7407 0.7407
7 S 0.2347 0.2347 0.2347
8 S 0.2593 0.2593 0.7721
9 S 0.2593 0.7721 0.2593
10 S 0.7407 0.2279 0.7407
11 S 0.7407 0.7407 0.2279
12 S 0.7653 0.7653 0.7653
13 S 0.7721 0.2593 0.2593

---

Entry from the Materials Project: a relaxed CaRhO3 crystal (PBE).

Its final energy is -31.33 eV/cell. Its total magnetic moment is 1.330 μB/f.u. As for the calculated formation energy: -42.33 kcal/mol of atoms.

Lattice parameters (Å, degrees): 3.9542 3.9542 3.9542 90.00 90.00 90.00
Positions (direct):
1 Ca 0.0000 0.0000 0.0000
2 Rh 0.5000 0.5000 0.5000
3 O 0.0000 0.5000 0.5000
4 O 0.5000 0.0000 0.5000
5 O 0.5000 0.5000 0.0000

---

Entry from the Materials Project: a relaxed HfFeSi2 crystal (PBE).

Its final energy is -182.21 eV/cell. Its total magnetic moment is 0.025 μB/f.u. As for the calculated formation energy: -5.47 kcal/mol of atoms.

Lattice parameters (Å, degrees): 10.8184 10.8184 10.8184 152.70 138.62 50.29
Positions (direct):
1 Hf 0.1287 0.3838 0.7449
2 Hf 0.1462 0.1462 0.0000
3 Hf 0.3610 0.6162 0.7449
4 Hf 0.6390 0.3838 0.2551
5 Hf 0.8538 0.8538 0.0000
6 Hf 0.8713 0.6162 0.2551
7 Fe 0.0000 0.0000 0.5000
8 Fe 0.0000 0.5000 0.0000
9 Fe 0.2534 0.5000 0.7534
10 Fe 0.5000 0.0000 0.0000
11 Fe 0.5000 0.5000 0.5000
12 Fe 0.7466 0.5000 0.2466
13 Si 0.0000 0.2406 0.2406
14 Si 0.0000 0.7594 0.7594
15 Si 0.1910 0.8443 0.3467
16 Si 0.2186 0.7186 0.5000
17 Si 0.2865 0.2865 0.0000
18 Si 0.4976 0.8443 0.6533
19 Si 0.5000 0.2464 0.7464
20 Si 0.5000 0.7536 0.2536
21 Si 0.5024 0.1557 0.3467
22 Si 0.7135 0.7135 0.0000
23 Si 0.7814 0.2814 0.5000
24 Si 0.8090 0.1557 0.6533

---

Entry from the Materials Project: a relaxed MgO crystal (PBE).

Its final energy is -10.47 eV/cell. Its total magnetic moment is 0.002 μB/f.u. As for the calculated formation energy: -53.15 kcal/mol of atoms.

Lattice parameters (Å, degrees): 2.6614 2.6614 2.6614 90.00 90.00 90.00
Positions (direct):
1 Mg 0.0000 0.0000 0.0000
2 O 0.5000 0.5000 0.5000